Density functional theory data (GGA-PBE) for crystalline CaTi2O4 at its relaxed geometry.

Calculated values
Energy relative to the elements in eV/atom: -3.182
Energy in eV/atom: -8.159

abc: 15.083 3.031 9.815
angles: 90.00 130.55 90.00
Space group C2/m (No. 12)
Unique sites:
Ca1 0.146 0.000 0.139
Ti1 0.136 0.000 0.812
Ti2 0.143 0.500 0.475
O1 0.033 0.000 0.325
O2 0.150 0.500 0.685
O3 0.170 0.500 0.988
O4 0.224 0.500 0.370

---

Density functional theory data (GGA-PBE) for crystalline CaUTi2O7 at its relaxed geometry.

Calculated values
Energy relative to the elements in eV/atom: -3.556
Energy in eV/atom: -8.912

abc: 7.148 7.303 10.224
angles: 90.00 90.00 90.00
Space group Imma (No. 74)
Unique sites:
Ca1 0.250 0.250 0.250
U1 0.000 0.000 0.000
Ti1 0.000 0.000 0.500
Ti2 0.250 0.250 0.750
O1 0.000 0.250 0.115
O2 0.000 0.250 0.428
O3 0.000 0.250 0.833
O4 0.210 0.051 0.622

---

Density functional theory data (GGA-PBE) for crystalline Ca2YTiO5 at its relaxed geometry.

Calculated values
Energy relative to the elements in eV/atom: -3.376
Energy in eV/atom: -7.785

abc: 16.042 5.711 5.538
angles: 90.00 90.00 90.00
Space group Ima2 (No. 46)
Unique sites:
Ca1 0.100 0.028 0.000
Y1 0.250 0.542 0.971
Ti1 0.000 0.000 0.525
O1 0.017 0.745 0.774
O2 0.129 0.082 0.568
O3 0.250 0.585 0.572

---

Density functional theory data (GGA-PBE) for crystalline CaY3Ti4O12 at its relaxed geometry.

Calculated values
Energy relative to the elements in eV/atom: -3.614
Energy in eV/atom: -8.820

abc: 5.352 7.720 5.648
angles: 90.00 90.09 90.00
Space group Pm (No. 6)
Unique sites:
Ca1 0.000 0.000 0.000
Y1 0.464 0.000 0.507
Y2 0.502 0.500 0.369
Y3 0.966 0.500 0.870
Ti1 0.482 0.247 0.939
Ti2 0.986 0.248 0.437
O1 0.091 0.500 0.476
O2 0.183 0.200 0.733
O3 0.297 0.200 0.245
O4 0.372 0.500 0.976
O5 0.577 0.000 0.904
O6 0.680 0.307 0.639
O7 0.787 0.311 0.138
O8 0.877 0.000 0.408

---

Density functional theory data (GGA-PBE) for crystalline Ca2Zr5Ti2O16 at its relaxed geometry.

Calculated values
Energy relative to the elements in eV/atom: -3.713
Energy in eV/atom: -8.942

abc: 10.252 15.421 15.409
angles: 90.00 90.00 90.00
Space group Pbca (No. 61)
Unique sites:
Ca1 0.124 0.167 0.083
Ca2 0.126 0.668 0.918
Zr1 0.107 0.520 0.090
Zr2 0.112 0.018 0.913
Zr3 0.125 0.517 0.735
Zr4 0.138 0.163 0.731
Zr5 0.144 0.660 0.269
Ti1 0.123 0.164 0.414
Ti2 0.127 0.673 0.577
O1 0.001 0.749 0.537
O2 0.003 0.750 0.321
O3 0.004 0.067 0.670
O4 0.004 0.611 0.669
O5 0.007 0.566 0.329
O6 0.007 0.617 0.165
O7 0.044 0.078 0.494
O8 0.045 0.578 0.507
O9 0.203 0.243 0.328
O10 0.209 0.743 0.672
O11 0.242 0.081 0.817
O12 0.247 0.578 0.185
O13 0.247 0.584 0.368
O14 0.248 0.213 0.500
O15 0.250 0.071 0.001
O16 0.250 0.082 0.640

---

Density functional theory data (GGA-PBE) for crystalline Ca2Zr5Ti2O16 at its relaxed geometry.

Calculated values
Energy relative to the elements in eV/atom: -3.712
Energy in eV/atom: -8.940

abc: 10.254 15.399 15.420
angles: 90.00 90.00 90.00
Space group Iba2 (No. 45)
Unique sites:
Ca1 0.124 0.082 0.000
Ca2 0.126 0.417 0.665
Zr1 0.109 0.232 0.171
Zr2 0.110 0.270 0.495
Zr3 0.124 0.265 0.847
Zr4 0.139 0.087 0.349
Zr5 0.143 0.410 0.311
Ti1 0.120 0.085 0.667
Ti2 0.129 0.422 0.003
O1 0.000 0.000 0.119
O2 0.000 0.000 0.402
O3 0.000 0.500 0.042
O4 0.000 0.500 0.261
O5 0.001 0.360 0.913
O6 0.004 0.133 0.247
O7 0.004 0.316 0.252
O8 0.008 0.183 0.413
O9 0.043 0.329 0.074
O10 0.045 0.173 0.588
O11 0.205 0.007 0.753
O12 0.206 0.493 0.909
O13 0.244 0.170 0.265
O14 0.244 0.335 0.214
O15 0.245 0.330 0.398
O16 0.247 0.332 0.942
O17 0.249 0.179 0.082
O18 0.250 0.038 0.581

---

- What is the energy relative to the elements in the third record?
  -3.376 eV/atom

---

Repeat the fifth record exactly.
Density functional theory data (GGA-PBE) for crystalline Ca2Zr5Ti2O16 at its relaxed geometry.

Calculated values
Energy relative to the elements in eV/atom: -3.713
Energy in eV/atom: -8.942

abc: 10.252 15.421 15.409
angles: 90.00 90.00 90.00
Space group Pbca (No. 61)
Unique sites:
Ca1 0.124 0.167 0.083
Ca2 0.126 0.668 0.918
Zr1 0.107 0.520 0.090
Zr2 0.112 0.018 0.913
Zr3 0.125 0.517 0.735
Zr4 0.138 0.163 0.731
Zr5 0.144 0.660 0.269
Ti1 0.123 0.164 0.414
Ti2 0.127 0.673 0.577
O1 0.001 0.749 0.537
O2 0.003 0.750 0.321
O3 0.004 0.067 0.670
O4 0.004 0.611 0.669
O5 0.007 0.566 0.329
O6 0.007 0.617 0.165
O7 0.044 0.078 0.494
O8 0.045 0.578 0.507
O9 0.203 0.243 0.328
O10 0.209 0.743 0.672
O11 0.242 0.081 0.817
O12 0.247 0.578 0.185
O13 0.247 0.584 0.368
O14 0.248 0.213 0.500
O15 0.250 0.071 0.001
O16 0.250 0.082 0.640